No. 1
This record from Materials Project describes a relaxed structure of MgB2H8. The functional is PBE.

POSCAR file:
```
MgB2H8
1.0
-7.961 -7.961 7.961
-7.961 7.961 -7.961
7.961 -7.961 -7.961
Mg B H
12 24 96
Direct
0.375 0.750 0.625
0.125 0.250 0.875
0.625 0.375 0.750
0.875 0.125 0.250
0.750 0.625 0.375
0.250 0.875 0.125
0.625 0.250 0.375
0.875 0.750 0.125
0.375 0.625 0.250
0.125 0.875 0.750
0.250 0.375 0.625
0.750 0.125 0.875
0.315 0.565 0.630
0.185 0.315 0.750
0.565 0.935 0.750
0.935 0.185 0.870
0.630 0.315 0.565
0.750 0.185 0.315
0.750 0.565 0.935
0.870 0.935 0.185
0.565 0.630 0.315
0.315 0.750 0.185
0.935 0.750 0.565
0.185 0.870 0.935
0.685 0.435 0.370
0.815 0.685 0.250
0.435 0.065 0.250
0.065 0.815 0.130
0.370 0.685 0.435
0.250 0.815 0.685
0.250 0.435 0.065
0.130 0.065 0.815
0.435 0.370 0.685
0.685 0.250 0.815
0.065 0.250 0.435
0.815 0.130 0.065
0.417 0.649 0.695
0.083 0.278 0.731
0.547 0.851 0.769
0.953 0.222 0.805
0.695 0.417 0.649
0.731 0.083 0.278
0.769 0.547 0.851
0.805 0.953 0.222
0.649 0.695 0.417
0.278 0.731 0.083
0.851 0.769 0.547
0.222 0.805 0.953
0.583 0.351 0.305
0.917 0.722 0.269
0.453 0.149 0.231
0.047 0.778 0.195
0.305 0.583 0.351
0.269 0.917 0.722
0.231 0.453 0.149
0.195 0.047 0.778
0.351 0.305 0.583
0.722 0.269 0.917
0.149 0.231 0.453
0.778 0.195 0.047
0.149 0.917 0.195
0.778 0.583 0.231
0.351 0.047 0.269
0.722 0.453 0.305
0.917 0.195 0.149
0.583 0.231 0.778
0.047 0.269 0.351
0.453 0.305 0.722
0.195 0.149 0.917
0.231 0.778 0.583
0.269 0.351 0.047
0.305 0.722 0.453
0.851 0.083 0.805
0.222 0.417 0.769
0.649 0.953 0.731
0.278 0.547 0.695
0.083 0.805 0.851
0.417 0.769 0.222
0.953 0.731 0.649
0.547 0.695 0.278
0.805 0.851 0.083
0.769 0.222 0.417
0.731 0.649 0.953
0.695 0.278 0.547
0.246 0.582 0.565
0.254 0.319 0.837
0.483 0.918 0.663
0.017 0.181 0.935
0.565 0.246 0.582
0.837 0.254 0.319
0.663 0.483 0.918
0.935 0.017 0.181
0.582 0.565 0.246
0.319 0.837 0.254
0.918 0.663 0.483
0.181 0.935 0.017
0.754 0.418 0.435
0.746 0.681 0.163
0.517 0.082 0.337
0.983 0.819 0.065
0.435 0.754 0.418
0.163 0.746 0.681
0.337 0.517 0.082
0.065 0.983 0.819
0.418 0.435 0.754
0.681 0.163 0.746
0.082 0.337 0.517
0.819 0.065 0.983
0.082 0.746 0.065
0.819 0.754 0.337
0.418 0.983 0.163
0.681 0.517 0.435
0.746 0.065 0.082
0.754 0.337 0.819
0.983 0.163 0.418
0.517 0.435 0.681
0.065 0.082 0.746
0.337 0.819 0.754
0.163 0.418 0.983
0.435 0.681 0.517
0.918 0.254 0.935
0.181 0.246 0.663
0.582 0.017 0.837
0.319 0.483 0.565
0.254 0.935 0.918
0.246 0.663 0.181
0.017 0.837 0.582
0.483 0.565 0.319
0.935 0.918 0.254
0.663 0.181 0.246
0.837 0.582 0.017
0.565 0.319 0.483
```

Computed properties:
ΔE to the lowest computed polymorph: 0.000 eV per atom
Calculated formation energy: -0.3540 eV per atom

---

No. 2
This record from Materials Project describes a relaxed structure of MgB2H8. The functional is PBE.

POSCAR file:
```
MgB2H8
1.0
0.820 -5.985 -4.177
3.992 -1.087 6.067
-7.069 1.064 1.680
Mg B H
2 4 16
Direct
0.750 0.250 0.500
0.000 0.000 0.000
0.392 0.169 0.224
0.945 0.169 0.776
0.831 0.608 0.776
0.831 0.055 0.224
0.050 0.306 0.744
0.694 0.438 0.744
0.694 0.950 0.256
0.562 0.306 0.256
0.997 0.271 0.976
0.295 0.022 0.024
0.729 0.003 0.024
0.978 0.705 0.976
0.295 0.271 0.273
0.997 0.022 0.727
0.729 0.705 0.727
0.978 0.003 0.273
0.742 0.081 0.662
0.419 0.081 0.338
0.919 0.258 0.338
0.919 0.581 0.662
```

Computed properties:
ΔE to the lowest computed polymorph: 0.009 eV per atom
Calculated formation energy: -0.3449 eV per atom

---

No. 3
This record from Materials Project describes a relaxed structure of Mg4B8H31. The functional is PBE.

POSCAR file:
```
Mg4B8H31
1.0
-4.984 -4.155 5.100
3.844 -7.060 -1.994
6.621 1.468 7.555
Mg B H
4 8 31
Direct
0.883 0.510 0.254
0.386 0.990 0.752
0.888 0.006 0.007
0.385 0.494 0.502
0.386 0.718 0.657
0.112 0.994 0.849
0.654 0.995 0.856
0.884 0.782 0.162
0.883 0.245 0.148
0.152 0.504 0.353
0.615 0.505 0.352
0.386 0.255 0.645
0.724 0.122 0.880
0.886 0.761 0.281
0.759 0.172 0.119
0.134 0.511 0.233
0.541 0.628 0.383
0.261 0.327 0.616
0.383 0.842 0.591
0.639 0.987 0.736
0.116 0.989 0.729
0.883 0.259 0.269
0.010 0.854 0.137
0.544 0.378 0.374
0.225 0.627 0.385
0.511 0.646 0.630
0.388 0.242 0.765
0.088 0.870 0.908
0.726 0.872 0.890
0.760 0.857 0.137
0.881 0.372 0.086
0.091 0.124 0.901
0.526 0.997 0.918
0.009 0.175 0.120
0.882 0.659 0.095
0.027 0.500 0.417
0.632 0.512 0.232
0.511 0.325 0.615
0.261 0.644 0.632
0.224 0.377 0.375
0.741 0.504 0.417
0.388 0.738 0.777
0.384 0.127 0.584
```

Computed properties:
Calculated formation energy: -0.3084 eV per atom

---

No. 4
This record from Materials Project describes a relaxed structure of MgB2H8. The functional is PBE.

POSCAR file:
```
MgB2H8
1.0
8.171 -1.350 -0.240
5.206 2.291 5.955
2.963 -5.561 4.552
Mg B H
4 8 32
Direct
0.500 0.500 0.500
0.750 0.750 0.750
0.000 0.000 0.000
0.250 0.250 0.250
0.872 0.376 0.907
0.845 0.907 0.376
0.907 0.845 0.872
0.376 0.872 0.845
0.378 0.874 0.343
0.405 0.343 0.874
0.343 0.405 0.378
0.874 0.378 0.405
0.866 0.730 0.454
0.950 0.454 0.730
0.454 0.950 0.866
0.730 0.866 0.950
0.384 0.520 0.796
0.300 0.796 0.520
0.796 0.300 0.384
0.520 0.384 0.300
0.743 0.497 0.008
0.753 0.008 0.497
0.008 0.753 0.743
0.497 0.743 0.753
0.507 0.753 0.242
0.497 0.242 0.753
0.242 0.497 0.507
0.753 0.507 0.497
0.295 0.788 0.016
0.901 0.016 0.788
0.016 0.901 0.295
0.788 0.295 0.901
0.955 0.462 0.234
0.349 0.234 0.462
0.234 0.349 0.955
0.462 0.955 0.349
0.988 0.746 0.008
0.258 0.008 0.746
0.008 0.258 0.988
0.746 0.988 0.258
0.262 0.504 0.242
0.992 0.242 0.504
0.242 0.992 0.262
0.504 0.262 0.992
```

Computed properties:
ΔE to the lowest computed polymorph: 0.026 eV per atom
Calculated formation energy: -0.3280 eV per atom

---

No. 5
This record from Materials Project describes a relaxed structure of MgB2H8. The functional is PBE.

POSCAR file:
```
MgB2H8
1.0
0.000 5.670 5.956
5.140 0.000 5.956
5.140 5.670 0.000
Mg B H
2 4 16
Direct
0.250 0.250 0.250
0.000 0.000 0.000
0.141 0.620 0.085
0.620 0.141 0.153
0.153 0.085 0.620
0.085 0.153 0.141
0.236 0.712 0.059
0.712 0.236 0.993
0.993 0.059 0.712
0.059 0.993 0.236
0.070 0.554 0.273
0.554 0.070 0.103
0.103 0.273 0.554
0.273 0.103 0.070
0.995 0.728 0.023
0.728 0.995 0.254
0.254 0.023 0.728
0.023 0.254 0.995
0.266 0.487 0.981
0.487 0.266 0.266
0.266 0.981 0.487
0.981 0.266 0.266
```

Computed properties:
ΔE to the lowest computed polymorph: 0.004 eV per atom
Calculated formation energy: -0.3499 eV per atom

---

No. 6
This record from Materials Project describes a relaxed structure of MgB2H8. The functional is PBE.

POSCAR file:
```
MgB2H8
1.0
5.621 0.000 0.000
0.000 5.621 0.000
0.000 0.000 5.948
Mg B H
2 4 16
Direct
0.000 0.000 0.000
0.500 0.500 0.500
0.750 0.250 0.750
0.250 0.750 0.750
0.750 0.750 0.250
0.250 0.250 0.250
0.718 0.460 0.789
0.282 0.540 0.789
0.540 0.718 0.211
0.460 0.282 0.211
0.673 0.139 0.910
0.327 0.861 0.910
0.861 0.673 0.090
0.139 0.327 0.090
0.960 0.218 0.711
0.040 0.782 0.711
0.782 0.960 0.289
0.218 0.040 0.289
0.639 0.173 0.590
0.361 0.827 0.590
0.827 0.639 0.410
0.173 0.361 0.410
```

Computed properties:
ΔE to the lowest computed polymorph: 0.029 eV per atom
Calculated formation energy: -0.3247 eV per atom

---

No. 7
This record from Materials Project describes a relaxed structure of MgB2H8. The functional is PBE.

POSCAR file:
```
MgB2H8
1.0
-4.122 4.122 5.028
4.122 -4.122 5.028
4.122 4.122 -5.028
Mg B H
2 4 16
Direct
0.250 0.750 0.500
0.000 0.000 0.000
0.619 0.849 0.769
0.080 0.849 0.231
0.151 0.381 0.231
0.151 0.920 0.769
0.480 0.729 0.751
0.977 0.729 0.249
0.271 0.520 0.249
0.271 0.023 0.751
0.272 0.915 0.357
0.558 0.915 0.643
0.085 0.728 0.643
0.085 0.442 0.357
0.718 0.002 0.967
0.035 0.751 0.033
0.035 0.002 0.284
0.718 0.751 0.716
0.249 0.282 0.284
0.998 0.965 0.716
0.249 0.965 0.967
0.998 0.282 0.033
```

Computed properties:
ΔE to the lowest computed polymorph: 0.004 eV per atom
Calculated formation energy: -0.3501 eV per atom

---

No. 8
This record from Materials Project describes a relaxed structure of MgB2H8. The functional is PBE.

POSCAR file:
```
MgB2H8
1.0
6.937 1.859 3.459
-4.605 2.191 6.127
-0.809 -7.504 -2.565
Mg B H
4 8 32
Direct
0.750 0.250 0.500
0.000 0.000 0.000
0.500 0.500 0.000
0.250 0.750 0.500
0.644 0.410 0.765
0.160 0.894 0.265
0.629 0.894 0.735
0.644 0.879 0.235
0.106 0.840 0.735
0.590 0.356 0.235
0.121 0.356 0.765
0.106 0.371 0.265
0.738 0.451 0.958
0.492 0.451 0.713
0.201 0.988 0.458
0.530 0.988 0.787
0.738 0.780 0.287
0.492 0.780 0.042
0.201 0.742 0.213
0.530 0.742 0.542
0.012 0.799 0.542
0.258 0.799 0.787
0.549 0.262 0.042
0.220 0.262 0.713
0.012 0.470 0.213
0.258 0.470 0.458
0.549 0.508 0.287
0.220 0.508 0.958
0.588 0.951 0.363
0.701 0.838 0.863
0.975 0.838 0.137
0.588 0.225 0.637
0.162 0.299 0.137
0.049 0.412 0.637
0.775 0.412 0.363
0.162 0.025 0.863
0.758 0.511 0.753
0.261 0.008 0.253
0.756 0.008 0.747
0.758 0.006 0.247
0.992 0.739 0.747
0.489 0.242 0.247
0.994 0.242 0.753
0.992 0.244 0.253
```

Computed properties:
ΔE to the lowest computed polymorph: 0.027 eV per atom
Calculated formation energy: -0.3268 eV per atom

---

No. 9
This record from Materials Project describes a relaxed structure of MgB2H8. The functional is PBE.

POSCAR file:
```
MgB2H8
1.0
-4.045 -3.874 -0.737
1.282 -0.293 -5.494
3.988 -4.386 1.165
Mg B H
2 4 16
Direct
0.500 0.500 0.500
0.000 0.000 0.000
0.239 0.761 0.744
0.761 0.239 0.744
0.739 0.739 0.244
0.261 0.261 0.244
0.040 0.700 0.803
0.960 0.300 0.803
0.540 0.800 0.303
0.460 0.200 0.303
0.300 0.960 0.803
0.700 0.040 0.803
0.800 0.540 0.303
0.200 0.460 0.303
0.380 0.620 0.823
0.620 0.380 0.823
0.880 0.880 0.323
0.120 0.120 0.323
0.233 0.767 0.544
0.767 0.233 0.544
0.733 0.733 0.044
0.267 0.267 0.044
```

Computed properties:
ΔE to the lowest computed polymorph: 0.046 eV per atom
Calculated formation energy: -0.3084 eV per atom

---

What ρ values result from the calculations? In sequence: 0.53, 0.59, 0.51, 0.96, 0.52, 0.95, 0.52, 0.96, 0.93 g/cm³.